[1]
A plane-wave DFT calculation with PBE-GGA was carried out for a relaxed structure of K2PrAgF6.

Properties
Calculated formation energy in kcal/mol of atoms: -71.06

The structure in POSCAR format:
```
K2PrAgF6
1.0
0.0000 4.7248 4.7248
4.7248 0.0000 4.7248
4.7248 4.7248 0.0000
K Pr Ag F
2 1 1 6
direct
0.2500 0.2500 0.2500 K
0.7500 0.7500 0.7500 K
0.0000 0.0000 0.0000 Pr
0.5000 0.5000 0.5000 Ag
0.2420 0.2420 0.7580 F
0.2420 0.7580 0.2420 F
0.2420 0.7580 0.7580 F
0.7580 0.2420 0.2420 F
0.7580 0.2420 0.7580 F
0.7580 0.7580 0.2420 F
```


[2]
A plane-wave DFT calculation with PBE-GGA was carried out for a relaxed structure of AgH9O5.

Properties
Calculated formation energy in kcal/mol of atoms: -25.53

The structure in POSCAR format:
```
AgH9O5
1.0
6.4805 0.0000 0.0000
0.0000 6.7888 0.0000
0.0000 0.0000 13.0595
Ag H O
4 36 20
direct
0.0090 0.2446 0.2484 Ag
0.4910 0.7554 0.7484 Ag
0.5090 0.2554 0.7516 Ag
0.9910 0.7446 0.2516 Ag
0.0570 0.7851 0.5496 H
0.0616 0.4976 0.4437 H
0.0784 0.8454 0.9518 H
0.0860 0.4870 0.0635 H
0.1321 0.9956 0.7054 H
0.1483 0.0082 0.8315 H
0.1842 0.4881 0.6034 H
0.2101 0.9562 0.5133 H
0.2133 0.4926 0.8933 H
0.2867 0.5074 0.3933 H
0.2899 0.0438 0.0133 H
0.3158 0.5119 0.1034 H
0.3517 0.9918 0.3315 H
0.3679 0.0044 0.2054 H
0.4140 0.5130 0.5635 H
0.4216 0.1546 0.4518 H
0.4384 0.5024 0.9437 H
0.4430 0.2149 0.0496 H
0.5570 0.7149 0.4504 H
0.5616 0.0024 0.5563 H
0.5784 0.6546 0.0482 H
0.5860 0.0130 0.9365 H
0.6321 0.5044 0.2946 H
0.6483 0.4918 0.1685 H
0.6842 0.0119 0.3966 H
0.7101 0.5438 0.4867 H
0.7133 0.0074 0.1067 H
0.7867 0.9926 0.6067 H
0.7899 0.4562 0.9867 H
0.8158 0.9881 0.8966 H
0.8517 0.5082 0.6685 H
0.8679 0.4956 0.7946 H
0.9140 0.9870 0.4365 H
0.9216 0.3454 0.5482 H
0.9384 0.9976 0.0563 H
0.9430 0.2851 0.9504 H
0.0696 0.9888 0.9504 O
0.0719 0.9286 0.5483 O
0.1402 0.4954 0.3763 O
0.1688 0.5079 0.1262 O
0.2250 0.0136 0.7637 O
0.2750 0.9864 0.2637 O
0.3312 0.4921 0.6262 O
0.3598 0.5046 0.8763 O
0.4281 0.0714 0.0483 O
0.4304 0.0112 0.4504 O
0.5696 0.5112 0.0496 O
0.5719 0.5714 0.4517 O
0.6402 0.0046 0.6237 O
0.6688 0.9921 0.8738 O
0.7250 0.4864 0.2363 O
0.7750 0.5136 0.7363 O
0.8312 0.0079 0.3738 O
0.8598 0.9954 0.1237 O
0.9281 0.4286 0.9517 O
0.9304 0.4888 0.5496 O
```


[3]
A plane-wave DFT calculation with PBE-GGA was carried out for a relaxed structure of NaLaYSbO6.

Properties
Calculated formation energy in kcal/mol of atoms: -65.67

The structure in POSCAR format:
```
NaLaYSbO6
1.0
0.0000 4.1645 4.1645
4.1645 0.0000 4.1645
4.1645 4.1645 0.0000
Na La Y Sb O
1 1 1 1 6
direct
0.0000 0.0000 0.0000 Na
0.5000 0.5000 0.5000 La
0.7500 0.7500 0.7500 Y
0.2500 0.2500 0.2500 Sb
0.0125 0.0125 0.4875 O
0.0125 0.4875 0.0125 O
0.0125 0.4875 0.4875 O
0.4875 0.0125 0.0125 O
0.4875 0.0125 0.4875 O
0.4875 0.4875 0.0125 O
```


[4]
A plane-wave DFT calculation with PBE-GGA was carried out for a relaxed structure of Cs4MgNb2Ag2S8.

Properties
Calculated formation energy in kcal/mol of atoms: -26.45

The structure in POSCAR format:
```
Cs4MgNb2Ag2S8
1.0
3.0710 -12.3885 0.0000
3.0710 12.3885 0.0000
-3.0710 0.0000 7.1275
Cs Mg Nb Ag S
4 1 2 2 8
direct
0.0000 0.0000 0.0000 Cs
0.2286 0.7714 0.5000 Cs
0.6283 0.3717 0.0000 Cs
0.8730 0.1270 0.5000 Cs
0.4309 0.5691 0.0000 Mg
0.0484 0.9516 0.5000 Nb
0.8086 0.1914 0.0000 Nb
0.2966 0.7034 0.0000 Ag
0.5495 0.4505 0.5000 Ag
0.1867 0.4460 0.1596 S
0.2280 0.0192 0.3156 S
0.3128 0.3250 0.7130 S
0.5540 0.8133 0.8404 S
0.6467 0.1395 0.1971 S
0.6750 0.6872 0.2870 S
0.8605 0.3533 0.8029 S
0.9808 0.7720 0.6844 S
```


[5]
A plane-wave DFT calculation with PBE-GGA was carried out for a relaxed structure of GdBi.

Properties
Calculated formation energy in kcal/mol of atoms: -20.87

The structure in POSCAR format:
```
GdBi
1.0
0.0000 3.1984 3.1984
3.1984 0.0000 3.1984
3.1984 3.1984 0.0000
Gd Bi
1 1
direct
0.0000 0.0000 0.0000 Gd
0.5000 0.5000 0.5000 Bi
```


[6]
A plane-wave DFT calculation with PBE-GGA was carried out for a relaxed structure of B2Mo2Os.

Properties
Calculated formation energy in kcal/mol of atoms: -8.14

The structure in POSCAR format:
```
B2Mo2Os
1.0
7.6056 0.0000 0.0000
0.0000 9.6497 0.0000
0.0000 0.0000 3.0771
B Mo Os
8 8 4
direct
0.1159 0.0392 0.0000 B
0.1256 0.2326 0.0000 B
0.3744 0.7326 0.5000 B
0.3841 0.5392 0.5000 B
0.6159 0.4608 0.5000 B
0.6256 0.2674 0.5000 B
0.8744 0.7674 0.0000 B
0.8841 0.9608 0.0000 B
0.0738 0.8604 0.5000 Mo
0.1917 0.6301 0.0000 Mo
0.3083 0.1301 0.5000 Mo
0.4262 0.3604 0.0000 Mo
0.5738 0.6396 0.0000 Mo
0.6917 0.8699 0.5000 Mo
0.8083 0.3699 0.0000 Mo
0.9262 0.1396 0.5000 Mo
0.1187 0.3926 0.5000 Os
0.3813 0.8926 0.0000 Os
0.6187 0.1074 0.0000 Os
0.8813 0.6074 0.5000 Os
```


[7]
A plane-wave DFT calculation with PBE-GGA was carried out for a relaxed structure of ScMnSi.

Properties
Calculated formation energy in kcal/mol of atoms: -13.85

The structure in POSCAR format:
```
ScMnSi
1.0
6.5261 0.0000 0.0000
-3.2631 5.6518 0.0000
0.0000 0.0000 3.8360
Sc Mn Si
3 3 3
direct
0.0000 0.5834 0.0000 Sc
0.4166 0.4166 0.0000 Sc
0.5834 0.0000 0.0000 Sc
0.0000 0.2298 0.5000 Mn
0.2298 0.0000 0.5000 Mn
0.7702 0.7702 0.5000 Mn
0.0000 0.0000 0.0000 Si
0.3333 0.6667 0.5000 Si
0.6667 0.3333 0.5000 Si
```


[8]
A plane-wave DFT calculation with PBE-GGA was carried out for a relaxed structure of YWN3.

Properties
Calculated formation energy in kcal/mol of atoms: -27.51

The structure in POSCAR format:
```
YWN3
1.0
5.7667 0.0000 0.0000
0.0000 3.6510 0.0000
-2.4795 0.0000 7.6177
Y W N
2 2 6
direct
0.2042 0.2500 0.4031 Y
0.7958 0.7500 0.5969 Y
0.3856 0.2500 0.8194 W
0.6145 0.7500 0.1806 W
0.0731 0.2500 0.6548 N
0.3708 0.7500 0.9104 N
0.4382 0.7500 0.3377 N
0.5618 0.2500 0.6623 N
0.6292 0.2500 0.0896 N
0.9269 0.7500 0.3452 N
```


[9]
A plane-wave DFT calculation with PBE-GGA was carried out for a relaxed structure of NaMg6Al6Si6O30.

Properties
Calculated formation energy in kcal/mol of atoms: -67.63

The structure in POSCAR format:
```
NaMg6Al6Si6O30
1.0
9.1657 5.2918 2.7710
-9.1657 5.2918 2.7710
0.0000 -10.5837 2.7710
Na Mg Al Si O
1 6 6 6 30
direct
0.0000 0.0000 0.0000 Na
0.1605 0.5416 0.8389 Mg
0.1605 0.8389 0.5416 Mg
0.5416 0.1605 0.8389 Mg
0.5416 0.8389 0.1605 Mg
0.8389 0.1605 0.5416 Mg
0.8389 0.5416 0.1605 Mg
0.1605 0.3323 0.9751 Al
0.1605 0.9751 0.3323 Al
0.3323 0.1605 0.9751 Al
0.3323 0.9751 0.1605 Al
0.9751 0.1605 0.3323 Al
0.9751 0.3323 0.1605 Al
0.3783 0.5540 0.7242 Si
0.3783 0.7242 0.5540 Si
0.5540 0.3783 0.7242 Si
0.5540 0.7242 0.3783 Si
0.7242 0.3783 0.5540 Si
0.7242 0.5540 0.3783 Si
0.0249 0.0249 0.3157 O
0.0249 0.3157 0.0249 O
0.0690 0.3117 0.7872 O
0.0690 0.7872 0.3117 O
0.1621 0.3764 0.5532 O
0.1621 0.5532 0.3764 O
0.1626 0.1626 0.9403 O
0.1626 0.9403 0.1626 O
0.3117 0.0690 0.7872 O
0.3117 0.7872 0.0690 O
0.3157 0.0249 0.0249 O
0.3764 0.1621 0.5532 O
0.3764 0.5532 0.1621 O
0.4015 0.6475 0.9012 O
0.4015 0.9012 0.6475 O
0.4479 0.6942 0.6942 O
0.5022 0.5022 0.7516 O
0.5022 0.7516 0.5022 O
0.5532 0.1621 0.3764 O
0.5532 0.3764 0.1621 O
0.6475 0.4015 0.9012 O
0.6475 0.9012 0.4015 O
0.6942 0.4479 0.6942 O
0.6942 0.6942 0.4479 O
0.7516 0.5022 0.5022 O
0.7872 0.0690 0.3117 O
0.7872 0.3117 0.0690 O
0.9012 0.4015 0.6475 O
0.9012 0.6475 0.4015 O
0.9403 0.1626 0.1626 O
```


[10]
A plane-wave DFT calculation with PBE-GGA was carried out for a relaxed structure of ThCl2.

Properties
Calculated formation energy in kcal/mol of atoms: -47.30

The structure in POSCAR format:
```
ThCl2
1.0
-4.1127 4.1127 4.6673
4.1127 -4.1127 4.6673
4.1127 4.1127 -4.6673
Th Cl
4 8
direct
0.0000 0.0000 0.0000 Th
0.0000 0.0000 0.5000 Th
0.0000 0.5000 0.0000 Th
0.5000 0.0000 0.5000 Th
0.1722 0.6897 0.4826 Cl
0.2929 0.3103 0.9826 Cl
0.3103 0.2929 0.4826 Cl
0.3103 0.8278 0.0174 Cl
0.6897 0.1722 0.9826 Cl
0.6897 0.7071 0.5174 Cl
0.7071 0.6897 0.0174 Cl
0.8278 0.3103 0.5174 Cl
```


[11]
A plane-wave DFT calculation with PBE-GGA was carried out for a relaxed structure of Hg3S2BrCl.

Properties
Calculated formation energy in kcal/mol of atoms: -13.41

The structure in POSCAR format:
```
Hg3S2BrCl
1.0
9.0477 -4.7942 0.0000
9.0477 4.7942 0.0000
-0.0545 0.0000 9.4910
Hg S Br Cl
12 8 4 4
direct
0.0000 0.5000 0.0000 Hg
0.1068 0.6441 0.2991 Hg
0.2289 0.2289 0.2890 Hg
0.2452 0.7548 0.0000 Hg
0.3559 0.8932 0.7009 Hg
0.4781 0.4781 0.7167 Hg
0.5000 0.0000 0.0000 Hg
0.5219 0.5219 0.2833 Hg
0.6441 0.1068 0.2991 Hg
0.7548 0.2452 0.0000 Hg
0.7711 0.7711 0.7110 Hg
0.8932 0.3559 0.7009 Hg
0.0103 0.5079 0.7423 S
0.2372 0.7439 0.7433 S
0.2561 0.7628 0.2567 S
0.4921 0.9897 0.2577 S
0.5079 0.0103 0.7423 S
0.7439 0.2372 0.7433 S
0.7628 0.2561 0.2567 S
0.9897 0.4921 0.2577 S
0.1250 0.1250 0.9777 Br
0.3748 0.3748 0.0064 Br
0.6252 0.6252 0.9936 Br
0.8750 0.8750 0.0223 Br
0.1282 0.1282 0.5190 Cl
0.3837 0.3837 0.4721 Cl
0.6163 0.6163 0.5279 Cl
0.8718 0.8718 0.4810 Cl
```


[12]
A plane-wave DFT calculation with PBE-GGA was carried out for a relaxed structure of AgH2C7O3F5.

Properties
Calculated formation energy in kcal/mol of atoms: -23.63

The structure in POSCAR format:
```
AgH2C7O3F5
1.0
18.4835 0.0000 0.0000
0.0000 3.8563 0.0000
-5.0339 0.0000 13.4918
Ag H C O F
4 8 28 12 20
direct
0.0186 0.1436 0.3310 Ag
0.0186 0.3564 0.8310 Ag
0.9814 0.6436 0.1690 Ag
0.9814 0.8564 0.6690 Ag
0.0861 0.6842 0.5359 H
0.0861 0.8158 0.0359 H
0.1266 0.6030 0.4598 H
0.1266 0.8970 0.9598 H
0.8734 0.1030 0.0402 H
0.8734 0.3970 0.5402 H
0.9139 0.1842 0.9641 H
0.9139 0.3158 0.4641 H
0.1512 0.0532 0.7660 C
0.1512 0.4468 0.2660 C
0.2361 0.0152 0.7823 C
0.2361 0.4848 0.2823 C
0.2656 0.0893 0.7073 C
0.2656 0.4107 0.2073 C
0.2888 0.5958 0.3733 C
0.2888 0.9042 0.8733 C
0.3437 0.0569 0.7213 C
0.3437 0.4431 0.2213 C
0.3670 0.6369 0.3886 C
0.3670 0.8631 0.8886 C
0.3947 0.5590 0.3125 C
0.3947 0.9410 0.8125 C
0.6053 0.0590 0.1875 C
0.6053 0.4410 0.6875 C
0.6330 0.1369 0.1114 C
0.6330 0.3631 0.6114 C
0.6563 0.5569 0.7787 C
0.6563 0.9431 0.2787 C
0.7112 0.0958 0.1267 C
0.7112 0.4042 0.6267 C
0.7344 0.5893 0.7927 C
0.7344 0.9107 0.2927 C
0.7639 0.5152 0.7177 C
0.7639 0.9848 0.2177 C
0.8488 0.5532 0.7340 C
0.8488 0.9468 0.2340 C
0.0764 0.6536 0.4650 O
0.0764 0.8464 0.9650 O
0.1042 0.5818 0.1875 O
0.1042 0.9182 0.6875 O
0.1356 0.2150 0.8334 O
0.1356 0.2850 0.3334 O
0.8644 0.7150 0.6666 O
0.8644 0.7850 0.1666 O
0.8958 0.0818 0.3125 O
0.8958 0.4182 0.8125 O
0.9236 0.1536 0.0350 O
0.9236 0.3464 0.5350 O
0.2181 0.2057 0.6183 F
0.2181 0.2943 0.1183 F
0.2647 0.6771 0.4487 F
0.2647 0.8229 0.9487 F
0.3704 0.1374 0.6485 F
0.3704 0.3626 0.1485 F
0.4161 0.7452 0.9758 F
0.4161 0.7548 0.4758 F
0.4700 0.5963 0.3266 F
0.4700 0.9037 0.8266 F
0.5300 0.0963 0.1734 F
0.5300 0.4037 0.6734 F
0.5839 0.2452 0.5242 F
0.5839 0.2548 0.0242 F
0.6296 0.6374 0.8515 F
0.6296 0.8626 0.3515 F
0.7353 0.1771 0.0513 F
0.7353 0.3229 0.5513 F
0.7819 0.7057 0.8817 F
0.7819 0.7943 0.3817 F
```


[13]
A plane-wave DFT calculation with PBE-GGA was carried out for a relaxed structure of MgFeCu2SnS4.

Properties
Calculated formation energy in kcal/mol of atoms: -11.11

The structure in POSCAR format:
```
MgFeCu2SnS4
1.0
5.5020 0.0000 0.0000
0.0000 5.5020 0.0000
0.0000 0.0000 6.0309
Mg Fe Cu Sn S
1 1 2 1 4
direct
0.0000 0.0000 0.0000 Mg
0.5000 0.5000 0.5000 Fe
0.0000 0.5000 0.0000 Cu
0.5000 0.0000 0.0000 Cu
0.0000 0.0000 0.5000 Sn
0.2795 0.2795 0.7786 S
0.2795 0.7205 0.2214 S
0.7205 0.2795 0.2214 S
0.7205 0.7205 0.7786 S
```


[14]
A plane-wave DFT calculation with PBE-GGA was carried out for a relaxed structure of KMg14Nb.

Properties
Calculated formation energy in kcal/mol of atoms: 4.83

The structure in POSCAR format:
```
KMg14Nb
1.0
10.2499 0.0000 0.0000
0.0000 3.3267 5.5694
0.0000 -3.3267 5.5694
K Mg Nb
1 14 1
direct
0.0000 0.0000 0.0000 K
0.0000 0.9997 0.5000 Mg
0.0000 0.5000 0.9997 Mg
0.2411 0.6605 0.6605 Mg
0.2538 0.1816 0.6519 Mg
0.2538 0.6519 0.1816 Mg
0.2624 0.1719 0.1719 Mg
0.5000 0.4991 0.4991 Mg
0.5000 0.5024 0.9941 Mg
0.5000 0.9941 0.5024 Mg
0.5000 0.9967 0.9967 Mg
0.7376 0.1719 0.1719 Mg
0.7462 0.1816 0.6519 Mg
0.7462 0.6519 0.1816 Mg
0.7589 0.6605 0.6605 Mg
0.0000 0.4887 0.4887 Nb
```